(1)
Fe5O7F3 after structural relaxation. Source: the Materials Project, functional PBE+U.

Output
space-group type: P1 (1)
relative energy among the computed polymorphs: 23 meV/atom
DFT formation energy: -1.729 eV per atom

a = 4.6860 Å, b = 4.6889 Å, c = 15.1536 Å
α = 90.02°, β = 90.20°, γ = 92.85°
Last column: nearest neighbours and their distance in Å.
Element x y z (fractional)
Fe (0.0054, 0.0024, 0.4093)  4 O 1.93-1.99, 2 F 2.11
Fe (0.0075, 0.9946, 0.1963)  3 O 1.92-1.99, 3 F 2.00-2.03
Fe (0.0032, 0.0034, 0.7995)  4 O 1.92-1.98, 2 F 2.05-2.07
Fe (0.0046, 0.9971, 0.9983)  4 O 1.92-1.99, 2 F 2.03-2.08
Fe (0.5046, 0.4990, 0.2986)  4 O 1.90-1.93, 2 F 2.11
Fe (0.4759, 0.5382, 0.7051)  4 O 1.93-1.97, 1 F 2.06
Fe (0.9845, 0.9712, 0.5965)  4 O 1.93-1.98, 2 F 2.06-2.12
Fe (0.4754, 0.5260, 0.1001)  5 O 1.97-1.99, 1 F 2.20
Fe (0.5315, 0.4698, 0.9012)  5 O 1.95-1.99
Fe (0.5123, 0.5045, 0.4950)  5 O 1.96-2.07, 1 F 2.15
O (0.3114, 0.3061, 0.8022)  3 Fe 1.95-1.97
O (0.1974, 0.7968, 0.5009)  3 Fe 1.93-2.07
O (0.3052, 0.3127, 0.2012)  3 Fe 1.93-1.99
O (0.7025, 0.6940, 0.3921)  3 Fe 1.90-1.99
O (0.8263, 0.1784, 0.9003)  3 Fe 1.92-1.99
O (0.1822, 0.8190, 0.0972)  3 Fe 1.92-1.99
O (0.6897, 0.6976, 0.2010)  3 Fe 1.93-1.99
O (0.6977, 0.6894, 0.9999)  3 Fe 1.95-1.99
O (0.1762, 0.8178, 0.7018)  3 Fe 1.92-1.98
O (0.3115, 0.3038, 0.9999)  3 Fe 1.96-1.98
O (0.3141, 0.3061, 0.3946)  3 Fe 1.91-1.99
O (0.6740, 0.6852, 0.6016)  3 Fe 1.93-1.96
O (0.7015, 0.6932, 0.8039)  3 Fe 1.95-1.98
O (0.8025, 0.1920, 0.5021)  3 Fe 1.94-2.05
F (0.7995, 0.2015, 0.1004)  3 Fe 2.02-2.20
F (0.2088, 0.7967, 0.9000)  3 Fe 2.03-2.21
F (0.1951, 0.8116, 0.2993)  3 Fe 2.00-2.11
F (0.2902, 0.3016, 0.6037)  3 Fe 2.06-2.15
F (0.7934, 0.2000, 0.6996)  3 Fe 2.05-2.23
F (0.8161, 0.1901, 0.2983)  3 Fe 2.03-2.11

(2)
Nb2Zn2NiO8 after structural relaxation. Source: the Materials Project, functional PBE+U.

Output
space-group type: C2/c (15)
DFT formation energy: -2.367 eV per atom

a = 10.0996 Å, b = 10.0996 Å, c = 5.2584 Å
α = 89.67°, β = 89.67°, γ = 34.15°
Last column: nearest neighbours and their distance in Å.
Element x y z (fractional)
O (0.0460, 0.8175, 0.9225)  2 Nb 2.01-2.03, 1 Ni 2.16
O (0.0727, 0.2834, 0.4409)  1 Zn 1.99, 1 Nb 2.02
O (0.8175, 0.0460, 0.4225)  2 Nb 2.01-2.03, 1 Ni 2.16
O (0.1825, 0.9540, 0.5775)  2 Nb 2.01-2.03, 1 Ni 2.16
O (0.5455, 0.8413, 0.3661)  3 Zn 1.98-2.09, 1 Nb 2.04
O (0.5683, 0.3191, 0.9131)  1 Nb 1.85
O (0.2834, 0.0727, 0.9409)  1 Zn 1.99, 1 Nb 2.02
O (0.3191, 0.5683, 0.4131)  1 Nb 1.85
O (0.4545, 0.1587, 0.6339)  3 Zn 1.98-2.09, 1 Nb 2.04
O (0.6809, 0.4317, 0.5869)  1 Nb 1.85
O (0.8413, 0.5455, 0.8661)  3 Zn 1.98-2.09, 1 Nb 2.04
O (0.9540, 0.1825, 0.0775)  2 Nb 2.01-2.03, 1 Ni 2.16
O (0.4317, 0.6809, 0.0869)  1 Nb 1.85
O (0.7166, 0.9273, 0.0591)  1 Zn 1.99, 1 Nb 2.02
O (0.1587, 0.4545, 0.1339)  3 Zn 1.98-2.09, 1 Nb 2.04
O (0.9273, 0.7166, 0.5591)  1 Zn 1.99, 1 Nb 2.02
Zn (0.4300, 0.1264, 0.2643)  4 O 1.98-2.09
Zn (0.5700, 0.8736, 0.7357)  4 O 1.98-2.09
Zn (0.1264, 0.4300, 0.7643)  4 O 1.98-2.09
Zn (0.8736, 0.5700, 0.2357)  4 O 1.98-2.09
Ni (0.6407, 0.3593, 0.2500)  6 O 2.09-2.16
Ni (0.3593, 0.6407, 0.7500)  6 O 2.09-2.16
Nb (0.7251, 0.0491, 0.7635)  5 O 1.85-2.04
Nb (0.0491, 0.7251, 0.2635)  5 O 1.85-2.04
Nb (0.2749, 0.9509, 0.2365)  5 O 1.85-2.04
Nb (0.9509, 0.2749, 0.7365)  5 O 1.85-2.04

(3)
Na5GdMo4O16 after structural relaxation. Source: the Materials Project, functional PBE+U.

Output
space-group type: I4_1/a (88)
DFT formation energy: -2.329 eV per atom

a = 10.0585 Å, b = 10.0585 Å, c = 10.0585 Å
α = 109.44°, β = 109.44°, γ = 109.54°
Last column: nearest neighbours and their distance in Å.
Element x y z (fractional)
Na (0.4040, 0.0783, 0.9173)  6 O 2.34-2.57
Na (0.0000, 0.0000, 0.0000)  4 O 2.46
Na (0.8460, 0.6717, 0.5827)  6 O 2.34-2.57
Na (0.3283, 0.9110, 0.1743)  6 O 2.34-2.57
Na (0.5133, 0.5960, 0.6743)  6 O 2.34-2.57
Na (0.1610, 0.4867, 0.0827)  6 O 2.34-2.57
Na (0.0890, 0.2633, 0.4173)  6 O 2.34-2.57
Na (0.9217, 0.8390, 0.3257)  6 O 2.34-2.57
Na (0.7367, 0.1540, 0.8257)  6 O 2.34-2.57
Na (0.2500, 0.7500, 0.5000)  4 O 2.46
Mo (0.1944, 0.6079, 0.7745)  4 O 1.78-1.83
Mo (0.5800, 0.8056, 0.4135)  4 O 1.78-1.83
Mo (0.8335, 0.4200, 0.2255)  4 O 1.78-1.83
Mo (0.6700, 0.9444, 0.0865)  4 O 1.78-1.83
Mo (0.4165, 0.3300, 0.2745)  4 O 1.78-1.83
Mo (0.3921, 0.1665, 0.5865)  4 O 1.78-1.83
Mo (0.8579, 0.5835, 0.9135)  4 O 1.78-1.83
Mo (0.0556, 0.1421, 0.7255)  4 O 1.78-1.83
O (0.2739, 0.2236, 0.8278)  1 Mo 1.81
O (0.2971, 0.1192, 0.1183)  1 Mo 1.80
O (0.3206, 0.3600, 0.3925)  1 Mo 1.78
O (0.8212, 0.7029, 0.8221)  1 Mo 1.80
O (0.6202, 0.3549, 0.0965)  1 Mo 1.83
O (0.9294, 0.3900, 0.1075)  1 Mo 1.78
O (0.8542, 0.3039, 0.3278)  1 Mo 1.81
O (0.6451, 0.7416, 0.2653)  1 Mo 1.83
O (0.8808, 0.9991, 0.1779)  1 Mo 1.80
O (0.0009, 0.1788, 0.8817)  1 Mo 1.80
O (0.4736, 0.1458, 0.4497)  1 Mo 1.81
O (0.6049, 0.0084, 0.2347)  1 Mo 1.83
O (0.0719, 0.6794, 0.0395)  1 Mo 1.78
O (0.3692, 0.7509, 0.3221)  1 Mo 1.80
O (0.4763, 0.3798, 0.7347)  1 Mo 1.83
O (0.1781, 0.0706, 0.4605)  1 Mo 1.78
O (0.3958, 0.4461, 0.1722)  1 Mo 1.81
O (0.6298, 0.3951, 0.4035)  1 Mo 1.83
O (0.9761, 0.5264, 0.6722)  1 Mo 1.81
O (0.2825, 0.8219, 0.8925)  1 Mo 1.78
O (0.9529, 0.6308, 0.3817)  1 Mo 1.80
O (0.6961, 0.0239, 0.5503)  1 Mo 1.81
O (0.9675, 0.9281, 0.6075)  1 Mo 1.78
O (0.2584, 0.5237, 0.9035)  1 Mo 1.83
O (0.4288, 0.0471, 0.6779)  1 Mo 1.80
O (0.7737, 0.3702, 0.7653)  1 Mo 1.83
O (0.9916, 0.2263, 0.5965)  1 Mo 1.83
O (0.6100, 0.7175, 0.5395)  1 Mo 1.78
O (0.5539, 0.7261, 0.9497)  1 Mo 1.81
O (0.2491, 0.5712, 0.6183)  1 Mo 1.80
O (0.6400, 0.0325, 0.9605)  1 Mo 1.78
O (0.7764, 0.6042, 0.0503)  1 Mo 1.81
Gd (0.5000, 0.5000, 0.0000)  8 O 2.42
Gd (0.7500, 0.2500, 0.5000)  8 O 2.42

(4)
KCrO3 after structural relaxation. Source: the Materials Project, functional PBE+U.

Output
space-group type: Pm-3m (221)
DFT formation energy: -1.676 eV per atom

a = 3.8647 Å, b = 3.8647 Å, c = 3.8647 Å
α = 90.00°, β = 90.00°, γ = 90.00°
Last column: nearest neighbours and their distance in Å.
Element x y z (fractional)
O (0.0000, 0.5000, 0.0000)  2 Cr 1.93
O (0.5000, 0.0000, 0.0000)  2 Cr 1.93
O (0.0000, 0.0000, 0.5000)  2 Cr 1.93
K (0.5000, 0.5000, 0.5000)  12 O 2.73
Cr (0.0000, 0.0000, 0.0000)  6 O 1.93

(5)
Al2FeP3O12 after structural relaxation. Source: the Materials Project, functional PBE+U.

Output
space-group type: P1 (1)
DFT formation energy: -2.853 eV per atom

a = 5.1419 Å, b = 7.1765 Å, c = 15.4420 Å
α = 90.16°, β = 90.16°, γ = 90.17°
Last column: nearest neighbours and their distance in Å.
Element x y z (fractional)
O (0.7465, 0.0673, 0.8050)  1 P 1.54
O (0.8562, 0.8331, 0.9199)  1 P 1.54
O (0.2634, 0.5557, 0.1991)  1 P 1.54
O (0.2406, 0.6668, 0.7142)  1 P 1.54
O (0.7599, 0.1651, 0.2933)  1 P 1.54
O (0.4186, 0.9342, 0.2464)  1 P 1.54
O (0.7699, 0.1722, 0.6256)  1 P 1.54
O (0.7465, 0.0675, 0.4713)  1 P 1.54
O (0.2690, 0.5387, 0.8646)  1 P 1.54
O (0.8847, 0.8343, 0.2531)  1 P 1.54
O (0.5868, 0.4335, 0.7512)  1 P 1.54
O (0.8559, 0.8330, 0.5864)  1 P 1.54
O (0.2404, 0.6686, 0.0478)  1 P 1.54
O (0.7391, 0.0629, 0.1391)  1 P 1.54
O (0.5825, 0.4334, 0.0887)  1 P 1.54
O (0.2660, 0.5484, 0.5260)  1 P 1.54
O (0.1203, 0.3302, 0.4083)  1 P 1.54
O (0.1186, 0.3319, 0.0816)  1 P 1.54
O (0.4059, 0.9617, 0.9104)  1 P 1.54
O (0.4057, 0.9617, 0.5769)  1 P 1.54
O (0.5851, 0.4354, 0.4160)  1 P 1.54
O (0.2402, 0.6648, 0.3725)  1 P 1.54
O (0.1236, 0.3278, 0.7433)  1 P 1.54
O (0.7703, 0.1723, 0.9604)  1 P 1.54
Al (0.8021, 0.2498, 0.7327)  4 O 1.75
Al (0.7988, 0.2496, 0.0684)  4 O 1.76
Al (0.7993, 0.2502, 0.3987)  4 O 1.75
Al (0.2026, 0.7492, 0.2662)  4 O 1.76
Fe (0.2010, 0.7500, 0.9332)  4 O 1.88
Fe (0.2006, 0.7505, 0.5996)  4 O 1.87-1.88
P (0.3012, 0.4948, 0.4298)  4 O 1.54
P (0.7017, 0.9991, 0.2333)  4 O 1.54
P (0.3034, 0.4913, 0.7679)  4 O 1.54
P (0.6967, 0.0092, 0.5654)  4 O 1.54
P (0.6969, 0.0094, 0.8996)  4 O 1.54
P (0.3002, 0.4964, 0.1038)  4 O 1.54